DFT (PBE) results for a geometry-optimized CaNb2Te4Cl10O structure.

Calculated values
* energy above the lowest structure with this stoichiometry: 38.0 meV per atom
* spin magnetization: 0.00 Bohr magnetons per cell

a b c (Å): 7.353 8.626 9.665
angles (deg): 82.67 86.90 81.14
Space group P1 (No. 1)
One atom of each set of equivalent atoms:
Ca1 0.000 0.000 0.000 [1 per cell]
Nb1 0.043 0.586 0.090 [1 per cell]
Nb2 0.098 0.875 0.352 [1 per cell]
Te1 0.383 0.348 0.548 [1 per cell]
Te2 0.403 0.069 0.728 [1 per cell]
Te3 0.599 0.214 0.905 [1 per cell]
Te4 0.668 0.434 0.685 [1 per cell]
Cl1 0.003 0.394 0.927 [1 per cell]
Cl2 0.105 0.076 0.505 [1 per cell]
Cl3 0.197 0.744 0.890 [1 per cell]
Cl4 0.268 0.039 0.169 [1 per cell]
Cl5 0.333 0.451 0.147 [1 per cell]
Cl6 0.385 0.734 0.422 [1 per cell]
Cl7 0.768 0.766 0.995 [1 per cell]
Cl8 0.817 0.045 0.254 [1 per cell]
Cl9 0.871 0.458 0.262 [1 per cell]
Cl10 0.931 0.728 0.516 [1 per cell]
O1 0.073 0.752 0.201 [1 per cell]

DFT (PBE) results for a geometry-optimized CaNb2Te4Cl10O structure.

Calculated values
* energy above the lowest structure with this stoichiometry: 30.0 meV per atom
* spin magnetization: 0.06 Bohr magnetons per cell

a b c (Å): 6.943 9.154 9.630
angles (deg): 96.66 93.55 108.20
Space group P1 (No. 1)
One atom of each set of equivalent atoms:
Ca1 0.000 0.000 0.000 [1 per cell]
Nb1 0.615 0.580 0.028 [1 per cell]
Nb2 0.650 0.318 0.304 [1 per cell]
Te1 0.076 0.151 0.675 [1 per cell]
Te2 0.216 0.766 0.650 [1 per cell]
Te3 0.389 0.060 0.803 [1 per cell]
Te4 0.948 0.871 0.497 [1 per cell]
Cl1 0.270 0.457 0.929 [1 per cell]
Cl2 0.304 0.138 0.213 [1 per cell]
Cl3 0.507 0.450 0.463 [1 per cell]
Cl4 0.527 0.755 0.191 [1 per cell]
Cl5 0.646 0.799 0.860 [1 per cell]
Cl6 0.680 0.128 0.451 [1 per cell]
Cl7 0.728 0.449 0.840 [1 per cell]
Cl8 0.782 0.174 0.112 [1 per cell]
Cl9 0.983 0.734 0.099 [1 per cell]
Cl10 0.988 0.483 0.383 [1 per cell]
O1 0.625 0.445 0.156 [1 per cell]

DFT (PBE) results for a geometry-optimized Ca4Cl6O structure.

Calculated values
* piezoelectric modulus e_max: 0.11 C/m²

a b c (Å): 9.1434 9.1434 6.9134
angles (deg): 90.00 90.00 120.00
Space group P6_3mc (No. 186)
One atom of each set of equivalent atoms:
Ca1 0.1989 0.3978 0.0000 [6 per cell]
Ca2 0.3333 0.6667 0.4274 [2 per cell]
Cl1 0.0747 0.5374 0.7094 [6 per cell]
Cl2 0.1380 0.2760 0.3821 [6 per cell]
O1 0.3333 0.6667 0.1065 [2 per cell]

Formation enthalpy at 0 K across the listed records, respectively: -21.49; -21.63; -28.18 eV per formula unit.